## one
Here is BiO2 after structural relaxation from the Materials Project. Energies are from meta-GGA r2SCAN.

Cell and atoms, written as extended XYZ:
```
6
Lattice="4.2431 -0.0757 0.1050 0.0709 4.2441 -0.0438 2.0898 2.0555 5.8838" Properties=species:S:1:pos:R:3 pbc="T T T"
O 4.2756 5.1773 3.7840
Bi 4.2621 0.9982 1.5576
O 2.1282 1.0466 2.1610
O 2.0883 3.1065 5.0651
O 4.3155 3.1174 0.8798
Bi 2.1417 5.2257 4.3874
```

## Properties
The calculation puts the mass density at 7.59 Mg/m³.


## two
Here is BiO2 after structural relaxation from the Materials Project. Energies are from meta-GGA r2SCAN.

Cell and atoms, written as extended XYZ:
```
12
Lattice="0.9478 -4.5118 4.1677 -5.8465 -0.3764 -2.0740 4.0383 -0.7009 -4.6718" Properties=species:S:1:pos:R:3 pbc="T T T"
O 0.6232 -1.5603 -3.6192
O -4.3179 -1.3994 -2.3204
O -2.2918 -2.3319 -4.5644
O 3.4575 -4.1897 -0.2577
O 1.4314 -3.2572 1.9863
O 0.5276 -3.7956 -1.3851
O -1.3880 -1.7935 -1.1929
Bi -2.9233 -0.1882 -1.0370
Bi 2.0191 -0.3504 -2.3359
Bi 0.0230 -2.5264 0.3973
Bi -0.8834 -3.0627 -2.9754
O -1.4836 -4.0288 1.0411
```

## Properties
The calculation puts the mass density at 8.66 Mg/m³.


Relative stability in kJ/mol of atoms, measured from the most stable structure: one 2.8; two 0.0


## one
Here is Bi2S3O12 after structural relaxation from the Materials Project. Energies are from meta-GGA r2SCAN.

Cell and atoms, written as extended XYZ:
```
34
Lattice="-5.6243 -0.2315 -7.7333 -8.9505 -3.3728 0.0440 -7.7505 5.4975 -1.0943" Properties=species:S:1:pos:R:3 pbc="T T T"
Bi -7.8049 0.6619 -3.0707
O -6.4849 2.2492 -2.0710
O -11.6210 2.4011 -1.0612
O -10.1720 -2.3254 -2.2227
O -14.1719 -0.2492 -3.8957
O -10.7044 -0.5079 -7.7223
O -8.0329 0.9208 -6.9600
S -12.7310 4.3837 -5.2127
O -6.9968 -0.6906 -1.4036
O -15.3285 2.5838 -7.3800
O -13.0192 -1.0670 -1.9593
O -8.8214 -1.2980 -3.9317
O -9.8058 3.7799 -1.8376
S -14.2268 -0.3692 -2.4354
O -12.1533 4.2186 -6.5609
O -12.5195 -1.8867 -6.9459
O -10.6795 -2.6810 -4.5496
O -5.8571 0.0813 -4.1340
Bi -19.1526 1.6241 -7.5353
O -13.5040 3.1912 -4.8518
O -9.3062 2.9602 -6.8242
O -8.1535 2.1424 -4.8879
O -15.8404 -0.3561 -6.7126
O -12.8156 0.4917 -7.1832
Bi -3.1727 0.2690 -1.2483
S -12.1658 -0.6968 -7.7445
O -11.6459 4.5742 -4.2339
S -9.5943 -2.4905 -3.5708
O -16.4682 1.8119 -4.6495
O -14.2924 0.9724 -1.8235
O -9.5097 1.4015 -1.6003
S -8.0986 2.2624 -6.3481
S -10.1595 2.5900 -1.0391
Bi -14.5204 1.2313 -5.7128
```

## Properties
The calculation puts the mass density at 4.15 Mg/m³.


## two
Here is Bi2S3O12 after structural relaxation from the Materials Project. Energies are from meta-GGA r2SCAN.

Cell and atoms, written as extended XYZ:
```
34
Lattice="-1.8108 -1.9351 -8.9154 4.8214 -0.9111 -7.9014 1.2728 -8.1518 -0.0924" Properties=species:S:1:pos:R:3 pbc="T T T"
S 1.3141 -3.5397 -8.5094
O 1.9320 -3.1813 -7.2029
Bi 1.7924 -1.2808 -5.7840
Bi 1.0722 -5.5662 -6.0376
O 2.5338 -9.5199 -13.7192
Bi 3.2113 -5.4319 -10.8716
O 2.7723 -3.4262 -12.2136
O 1.9200 -7.3574 -7.3483
O 0.7959 -5.5346 -11.2547
O 2.1004 -7.1142 -2.3714
O 3.8716 -5.1391 -13.3711
O 0.3923 -2.4884 -8.9659
O 1.7497 -1.4782 -3.1901
O 3.4876 -5.4634 -5.6546
O 3.8912 -8.5097 -7.9433
S 1.0015 -7.2194 -3.3354
S 1.5553 -2.9597 -3.1073
O 0.2429 -3.2268 -2.5119
Bi 2.4910 -9.7173 -11.1253
O 4.8307 -9.0858 -10.7813
O 2.1831 -3.8838 -14.5379
O 1.5112 -7.5719 -4.6957
O -0.5473 -1.9122 -6.1280
O 2.3514 -7.8167 -9.7063
O 2.6908 -7.6129 -12.3695
S 2.7282 -8.0383 -13.8020
O 0.4119 -5.8589 -3.5381
O 4.0405 -7.7712 -14.3974
O 3.6314 -6.1624 -8.6142
S 3.2820 -3.7787 -13.5738
O 1.5926 -3.3851 -4.5397
O 0.6521 -4.8356 -8.2951
S 2.9693 -7.4583 -8.3998
O 2.3635 -3.6407 -9.5610
```

## Properties
The calculation puts the mass density at 4.94 Mg/m³.


## three
Here is Bi2S3O12 after structural relaxation from the Materials Project. Energies are from meta-GGA r2SCAN.

Cell and atoms, written as extended XYZ:
```
34
Lattice="8.0993 -4.6894 0.0073 8.0993 4.6894 0.0073 5.3774 0.0000 7.6598" Properties=species:S:1:pos:R:3 pbc="T T T"
O 11.9340 -0.7730 6.0222
O 14.4687 0.9145 6.9653
O 11.7800 3.7749 3.1354
S 12.6889 3.3036 4.1873
O 7.1073 -0.9145 0.7091
O 15.0647 -1.9414 5.2895
O 11.7132 -2.8526 7.2180
O 9.7960 -3.7749 4.5390
S 11.5757 -1.3858 7.3170
O 5.9805 -1.0269 3.8772
O 10.1849 -1.0269 7.6198
Bi 18.5635 0.0000 6.6029
O 9.6420 0.7730 1.6522
O 13.0001 -1.0637 3.0249
Bi 3.0125 0.0000 1.0715
O 15.5955 1.0269 3.7972
S 8.0827 1.9178 5.7485
O 12.3307 3.9164 5.4821
O 9.8628 2.8526 0.4564
Bi 13.8005 0.0000 4.9087
Bi 7.7755 0.0000 2.7657
S 10.0003 1.3858 0.3574
O 11.3911 1.0269 0.0546
O 9.1999 2.7480 6.2148
O 12.3761 -2.7480 1.4596
O 12.5515 1.8367 4.2863
S 8.8871 -3.3036 3.4871
O 8.5759 1.0637 4.6496
O 6.5113 1.9414 2.3849
O 9.0245 -1.8367 3.3881
O 7.5895 1.0637 6.8475
S 13.4933 -1.9178 1.9259
O 13.9865 -1.0637 0.8269
O 9.2453 -3.9164 2.1923
```

## Properties
The calculation puts the mass density at 4.03 Mg/m³.


Relative stability in kJ/mol of atoms, measured from the most stable structure: one 2.4; two 0.0; three 3.7


## one
Here is Bi2WO6 after structural relaxation from the Materials Project. Energies are from meta-GGA r2SCAN.

Cell and atoms, written as extended XYZ:
```
18
Lattice="5.8107 -4.9915 3.2460 6.8566 -4.6941 -0.4089 5.8677 5.3876 2.1174" Properties=species:S:1:pos:R:3 pbc="T T T"
O 2.2809 -0.1980 0.6366
Bi 7.5973 0.1502 2.1863
Bi 4.6364 -2.8410 1.0957
W 16.7547 -5.8628 4.3177
Bi 10.9378 -4.4482 2.7682
W 1.7803 1.5647 0.6368
O 8.2610 -3.2018 2.1036
O 3.8481 1.8624 1.2527
O 10.2741 -1.0962 2.8509
O 12.7349 -8.0469 2.9897
O 13.0032 -3.6689 3.4226
O 14.6869 -6.1604 3.7018
O 16.2542 -4.1001 4.3179
O 5.8001 3.7488 1.9648
O 10.2201 -6.6387 2.3846
O 5.5319 -0.6292 1.5319
Bi 13.8986 -1.4570 3.8588
O 8.3150 2.3406 2.5699
```

## Properties
The calculation puts the mass density at 9.31 Mg/m³.


## two
Here is Bi2WO6 after structural relaxation from the Materials Project. Energies are from meta-GGA r2SCAN.

Cell and atoms, written as extended XYZ:
```
18
Lattice="-5.4516 6.5597 1.8142 0.8449 -7.2850 -4.7176 -2.1398 -2.9190 4.1242" Properties=species:S:1:pos:R:3 pbc="T T T"
O -4.5210 -0.6149 1.4604
O -3.4186 -6.1441 -0.7364
O -6.6192 0.7067 2.6306
O -2.8190 -3.1228 -0.6136
O -2.0961 -8.5241 -0.4113
O -5.0850 -3.0720 0.7034
O -5.5425 2.1512 0.5614
O -1.9838 -0.6518 0.3752
Bi -5.3041 -0.7847 3.8206
Bi -1.1870 -6.3855 -1.3126
W -3.3441 -1.8175 0.6288
O -2.3419 -4.6996 -2.8056
Bi -5.1997 2.7978 2.7601
Bi -1.0827 -2.8029 -2.3731
O -2.7579 -2.6769 2.1091
O -5.2439 4.7864 1.2580
O -4.2633 -0.9819 -1.1225
W -4.5775 -0.7207 -2.8850
```

## Properties
The calculation puts the mass density at 9.29 Mg/m³.


Relative stability in kJ/mol of atoms, measured from the most stable structure: one 1.6; two 0.0


## one
Here is Na3GdBr6 after structural relaxation from the Materials Project. Energies are from meta-GGA r2SCAN.

Cell and atoms, written as extended XYZ:
```
20
Lattice="-0.6459 6.5380 4.0215 -5.5634 -2.7804 3.6266 1.3906 -6.5836 10.9267" Properties=species:S:1:pos:R:3 pbc="T T T"
Br -3.7526 2.3111 5.6694
Br -1.2591 1.0635 8.2505
Br -4.1775 -1.3812 4.3791
Gd -0.3230 3.2690 2.0107
Br 0.2442 -2.4159 10.3696
Br -1.0661 -5.1371 12.9054
Br -5.0629 -0.4101 8.2052
Br -0.2134 -1.5295 3.4268
Na -4.1517 2.2846 9.1195
Br -0.6412 -1.4448 14.1957
Br -3.5595 -3.8895 10.3244
Na -3.2432 -3.1650 13.2556
Na -0.6670 -5.1106 9.4553
Br -3.1480 -0.0622 11.6977
Na -2.4093 -1.4130 9.2874
Gd 0.6953 -3.2918 5.4634
Na -2.7817 -1.3902 1.8133
Br -1.6706 -2.7638 6.8771
Na -1.5755 0.3390 5.3192
Br -4.6052 -1.2965 15.1481
```

## Properties
The calculation puts the mass density at 3.92 Mg/m³.


## two
Here is Na3GdBr6 after structural relaxation from the Materials Project. Energies are from meta-GGA r2SCAN.

Cell and atoms, written as extended XYZ:
```
10
Lattice="-6.8605 0.5791 3.8391 -4.4622 -6.1389 2.1315 -1.1645 -2.3086 7.4468" Properties=species:S:1:pos:R:3 pbc="T T T"
Br -8.0134 -2.5027 8.5453
Br -8.4903 -5.7376 6.2044
Na -6.1335 -3.8649 6.5905
Na -2.3928 -1.5078 2.5711
Br -7.2151 -2.1389 4.4986
Br -3.9771 -2.1288 7.5181
Na -8.5568 -5.3918 9.1943
Gd -12.4605 -7.8516 13.3888
Br -5.5676 -5.6671 8.9658
Br -4.5587 -5.6572 4.9076
```

## Properties
The calculation puts the mass density at 3.78 Mg/m³.


Relative stability in kJ/mol of atoms, measured from the most stable structure: one 1.0; two 0.0


## one
Here is In4Br7 after structural relaxation from the Materials Project. Energies are from meta-GGA r2SCAN.

Cell and atoms, written as extended XYZ:
```
44
Lattice="1.7683 -5.4812 -5.0897 6.9351 -3.3135 0.0161 -7.5463 -24.8305 18.1786" Properties=species:S:1:pos:R:3 pbc="T T T"
In 4.6156 -12.8722 3.8779
In -2.3676 -27.4199 16.8611
Br -0.7327 -11.5034 3.6373
Br -1.0919 -29.9387 13.5179
In 0.3271 -22.3342 12.7129
Br 2.2490 -3.6865 -0.4129
In -1.9888 -26.4753 10.1694
Br 7.1287 -8.5647 -3.1919
In -3.4584 -20.7530 9.2271
In 1.0225 -11.3038 6.6227
In 0.1346 -22.3214 6.4823
In 2.3443 -17.5328 7.8952
In -0.3056 -14.0720 9.0973
In 3.1460 -7.1499 2.9356
Br 1.8899 -22.1218 9.4677
Br -1.1876 -20.1674 10.1040
Br -0.1664 -19.0985 6.1143
Br -4.5286 -22.7416 10.3950
Br -2.4746 -8.8119 6.2781
In 0.8301 -11.2910 0.3921
Br 2.2734 -7.8831 0.7064
Br 2.3448 -13.4578 3.0010
In 3.5248 -6.2053 -3.7561
In 6.5321 -8.8051 -0.0136
Br 2.9547 -17.4088 4.6989
Br -4.4351 -27.7750 14.1178
Br -5.9715 -25.0605 16.2969
Br 1.3236 -14.5267 6.9907
Br 2.7730 -8.8460 4.7925
Br 3.6318 -24.8133 6.8269
Br -2.6804 -23.1528 14.5304
Br 3.0014 -21.1285 5.5474
In -1.1871 -16.0924 5.2098
Br 5.5923 -5.8502 -1.0128
Br -6.2777 -21.2398 15.3377
Br -1.8442 -12.4967 7.5576
In -5.3749 -24.8201 13.1186
Br 3.8376 -10.4724 -1.4254
Br -1.7976 -16.2164 8.4061
In 0.8842 -2.7406 -2.5448
Br 7.4349 -12.3854 -2.2327
Br -1.6159 -24.7792 8.3125
Br -1.1163 -25.7421 12.3986
Br 5.6858 -10.8836 2.7100
```

## Properties
The calculation puts the mass density at 4.26 Mg/m³.


## two
Here is In4Br7 after structural relaxation from the Materials Project. Energies are from meta-GGA r2SCAN.

Cell and atoms, written as extended XYZ:
```
22
Lattice="-4.1120 8.5444 13.2450 -9.5065 3.1228 12.8538 -2.7027 1.5354 15.9901" Properties=species:S:1:pos:R:3 pbc="T T T"
In -4.7709 3.8593 12.3032
In -13.8514 11.2047 35.7199
Br -13.3130 11.1162 29.5231
In -8.1606 6.6013 21.0445
Br -5.6039 6.7954 20.2275
In -11.5503 9.3433 29.7859
Br -7.3472 5.6209 23.4150
In -6.7941 5.4959 17.5206
Br -9.6861 10.2700 31.1949
Br -6.6351 2.9326 10.8941
Br -8.9740 7.5817 18.6740
Br -8.2759 4.1099 20.0337
Br -8.0453 9.0927 22.0553
Br -3.7594 5.8227 11.1026
Br -12.5618 7.3799 30.9864
In -9.5271 7.7067 24.5684
Br -10.7173 6.4072 21.8615
Br -3.0081 2.0864 12.5660
In -2.4698 1.9979 6.3691
In 0.0000 0.0000 0.0000
Br -5.6456 4.5668 14.5588
Br -10.6756 8.6357 27.5302
```

## Properties
The calculation puts the mass density at 4.25 Mg/m³.


Relative stability in kJ/mol of atoms, measured from the most stable structure: one 0.0; two 0.7


## one
Here is K2SnBr6 after structural relaxation from the Materials Project. Energies are from meta-GGA r2SCAN.

Cell and atoms, written as extended XYZ:
```
9
Lattice="2.8422 -2.4869 6.5132 -4.6164 -2.1792 5.5339 -0.5375 -7.2902 1.8024" Properties=species:S:1:pos:R:3 pbc="T T T"
K -1.7338 -8.9672 10.3872
Br -0.8411 -6.6460 4.3175
Br -3.1909 -7.7552 7.1343
Br -1.4707 -5.3103 9.5321
Br -2.9173 -4.0445 6.2168
K -0.5779 -2.9891 3.4624
Br 0.8791 -4.2011 6.7153
Br 0.6056 -7.9118 7.6327
Sn 0.0000 0.0000 0.0000
```

## Properties
The calculation puts the mass density at 3.72 Mg/m³.


## two
Here is K2SnBr6 after structural relaxation from the Materials Project. Energies are from meta-GGA r2SCAN.

Cell and atoms, written as extended XYZ:
```
18
Lattice="-3.4983 5.0001 4.0988 2.2736 -3.4113 6.1019 9.1443 6.3025 0.1163" Properties=species:S:1:pos:R:3 pbc="T T T"
Br -0.6136 0.7464 7.7973
Br 6.1347 5.4447 5.1862
Br 6.9694 4.8035 0.0887
K 0.5369 4.0757 2.0785
Br -0.6111 0.8423 2.4034
Br 3.9680 3.8854 7.7769
K 5.1091 7.2269 2.1367
Br 2.4733 6.1013 5.2128
Br -2.1433 3.0148 5.1392
Sn 0.0000 0.0000 0.0000
Br 1.7848 2.4466 5.1309
K 7.9950 3.0212 3.1382
Br 5.4462 1.7899 5.1043
K 3.4229 -0.1300 3.0800
Br 2.1749 1.4990 0.0277
Br 0.9185 -1.4261 5.0616
Br 3.9516 4.0058 2.5402
Sn 3.9598 3.9456 5.1585
```

## Properties
The calculation puts the mass density at 3.74 Mg/m³.


Relative stability in kJ/mol of atoms, measured from the most stable structure: one 0.9; two 0.0